Here is a relaxed Eu5Mg crystal from the Materials Project. Energies are from PBE.

Properties
Distance to the lowest polymorph of the same formula ... 0 meV per atom
E_form ... 0.006 eV per atom

Unit cell a=6.1697 b=4.0056 c=19.2449 alpha=90.00 beta=90.00 gamma=90.00
Space group Amm2 (No. 38)
Asymmetric unit:
1 Eu 0.0000 0.0000 0.0000
2 Eu 0.0000 0.0000 0.3141
3 Eu 0.5000 0.0000 0.1144
4 Eu 0.5000 0.0000 0.4428
5 Eu 0.5000 0.0000 0.7745
6 Mg 0.0000 0.0000 0.6572